# 1
Density functional theory data (GGA-PBE) for a relaxed Hf2Bi crystal.

Lattice parameters (Å, degrees): 6.346 6.346 6.667 109.66 109.66 34.59
Fractional positions:
Hf 0.003 0.003 0.235
Hf 0.336 0.336 0.910
Hf 0.664 0.664 0.090
Hf 0.997 0.997 0.765
Bi 0.343 0.343 0.392
Bi 0.657 0.657 0.608

space group: C2/m

=====

# 2
Density functional theory data (GGA-PBE) for a relaxed BiPPb4O8 crystal.

Lattice parameters (Å, degrees): 6.444 7.351 11.055 99.31 105.32 90.15
Fractional positions:
Bi 0.191 0.276 0.104
Bi 0.809 0.724 0.896
P 0.259 0.794 0.184
P 0.741 0.206 0.816
Pb 0.225 0.617 0.466
Pb 0.227 0.120 0.469
Pb 0.267 0.454 0.798
Pb 0.269 0.943 0.795
Pb 0.731 0.057 0.205
Pb 0.733 0.546 0.202
Pb 0.773 0.880 0.531
Pb 0.775 0.383 0.534
O 0.019 0.310 0.243
O 0.098 0.814 0.269
O 0.141 0.396 0.584
O 0.148 0.895 0.580
O 0.220 0.602 0.095
O 0.223 0.946 0.097
O 0.487 0.692 0.771
O 0.495 0.814 0.271
O 0.505 0.186 0.729
O 0.513 0.308 0.229
O 0.777 0.054 0.903
O 0.780 0.398 0.905
O 0.852 0.105 0.420
O 0.859 0.604 0.416
O 0.902 0.186 0.731
O 0.981 0.690 0.757

space group: P-1
M_tot: 0.000 μB per formula unit

=====

# 3
Density functional theory data (GGA-PBE) for a relaxed TlGeSbO5 crystal.

Lattice parameters (Å, degrees): 13.605 6.774 10.951 90.00 90.00 90.00
Fractional positions:
Tl 0.108 0.205 0.000
Tl 0.112 0.785 0.242
Tl 0.388 0.285 0.742
Tl 0.392 0.705 0.500
Tl 0.608 0.295 0.000
Tl 0.612 0.715 0.242
Tl 0.888 0.215 0.742
Tl 0.892 0.795 0.500
Ge 0.003 0.317 0.347
Ge 0.181 0.008 0.597
Ge 0.319 0.508 0.097
Ge 0.497 0.817 0.847
Ge 0.503 0.183 0.347
Ge 0.681 0.492 0.597
Ge 0.819 0.992 0.097
Ge 0.997 0.683 0.847
Sb 0.119 0.505 0.596
Sb 0.245 0.753 0.851
Sb 0.255 0.253 0.351
Sb 0.381 0.005 0.096
Sb 0.619 0.995 0.596
Sb 0.745 0.747 0.851
Sb 0.755 0.247 0.351
Sb 0.881 0.495 0.096
O 0.006 0.542 0.711
O 0.014 0.490 0.467
O 0.101 0.835 0.867
O 0.103 0.211 0.628
O 0.111 0.169 0.336
O 0.112 0.798 0.555
O 0.219 0.540 0.728
O 0.226 0.465 0.474
O 0.227 0.552 0.982
O 0.239 0.461 0.223
O 0.261 0.961 0.723
O 0.273 0.052 0.482
O 0.274 0.965 0.974
O 0.281 0.040 0.228
O 0.388 0.298 0.055
O 0.389 0.669 0.836
O 0.397 0.711 0.128
O 0.399 0.335 0.367
O 0.486 0.990 0.967
O 0.494 0.042 0.211
O 0.506 0.958 0.711
O 0.514 0.010 0.467
O 0.601 0.665 0.867
O 0.603 0.289 0.628
O 0.611 0.331 0.336
O 0.612 0.702 0.555
O 0.719 0.960 0.728
O 0.726 0.035 0.474
O 0.727 0.948 0.982
O 0.739 0.039 0.223
O 0.761 0.539 0.723
O 0.773 0.448 0.482
O 0.774 0.535 0.974
O 0.781 0.460 0.228
O 0.888 0.202 0.055
O 0.889 0.831 0.836
O 0.897 0.789 0.128
O 0.899 0.165 0.367
O 0.986 0.510 0.967
O 0.994 0.458 0.211

space group: Pna2_1
M_tot: 0.000 μB per formula unit

=====

# 4
Density functional theory data (GGA-PBE) for a relaxed Li2SnHg crystal.

Lattice parameters (Å, degrees): 4.768 4.768 4.768 60.00 60.00 60.00
Fractional positions:
Li 0.250 0.250 0.250
Li 0.750 0.750 0.750
Sn 0.000 0.000 0.000
Hg 0.500 0.500 0.500

space group: Fm-3m

=====

# 5
Density functional theory data (GGA-PBE) for a relaxed Pr8Sb2S15 crystal.

Lattice parameters (Å, degrees): 15.010 15.010 15.010 116.38 116.38 96.40
Fractional positions:
Pr 0.038 0.404 0.673
Pr 0.042 0.113 0.655
Pr 0.115 0.288 0.134
Pr 0.137 0.292 0.430
Pr 0.151 0.021 0.170
Pr 0.154 0.981 0.866
Pr 0.177 0.470 0.007
Pr 0.220 0.713 0.793
Pr 0.231 0.601 0.330
Pr 0.231 0.904 0.366
Pr 0.271 0.901 0.670
Pr 0.351 0.521 0.870
Pr 0.363 0.792 0.155
Pr 0.420 0.213 0.493
Pr 0.458 0.387 0.345
Pr 0.463 0.170 0.993
Pr 0.538 0.865 0.634
Pr 0.542 0.887 0.930
Pr 0.615 0.481 0.827
Pr 0.637 0.208 0.845
Pr 0.651 0.481 0.130
Pr 0.654 0.788 0.173
Pr 0.677 0.670 0.707
Pr 0.720 0.927 0.507
Pr 0.731 0.365 0.327
Pr 0.731 0.401 0.630
Pr 0.771 0.101 0.370
Pr 0.851 0.981 0.830
Pr 0.863 0.708 0.570
Pr 0.920 0.427 0.207
Pr 0.958 0.613 0.070
Pr 0.963 0.970 0.293
Sb 0.021 0.701 0.887
Sb 0.314 0.201 0.680
Sb 0.384 0.564 0.613
Sb 0.451 0.064 0.180
Sb 0.521 0.634 0.320
Sb 0.814 0.134 0.113
Sb 0.884 0.271 0.820
Sb 0.951 0.771 0.387
S 0.009 0.186 0.490
S 0.033 0.446 0.093
S 0.037 0.841 0.150
S 0.039 0.653 0.308
S 0.053 0.237 0.891
S 0.070 0.070 0.000
S 0.091 0.787 0.650
S 0.109 0.941 0.487
S 0.137 0.441 0.350
S 0.191 0.104 0.407
S 0.191 0.341 0.804
S 0.191 0.859 0.987
S 0.193 0.493 0.647
S 0.196 0.604 0.913
S 0.196 0.686 0.177
S 0.243 0.096 0.799
S 0.269 0.259 0.323
S 0.297 0.443 0.201
S 0.320 0.820 0.500
S 0.345 0.731 0.692
S 0.346 0.162 0.109
S 0.346 0.993 0.299
S 0.354 0.941 0.907
S 0.372 0.359 0.668
S 0.403 0.595 0.113
S 0.412 0.096 0.609
S 0.436 0.759 0.990
S 0.454 0.622 0.513
S 0.481 0.289 0.887
S 0.487 0.803 0.391
S 0.509 0.019 0.823
S 0.533 0.441 0.587
S 0.537 0.387 0.196
S 0.539 0.231 0.387
S 0.553 0.662 0.816
S 0.570 0.570 0.000
S 0.591 0.941 0.304
S 0.609 0.122 0.168
S 0.637 0.287 0.696
S 0.691 0.283 0.087
S 0.691 0.704 0.332
S 0.691 0.887 0.850
S 0.693 0.047 0.701
S 0.696 0.519 0.510
S 0.696 0.783 0.593
S 0.743 0.943 0.147
S 0.769 0.446 0.010
S 0.797 0.596 0.853
S 0.820 0.320 0.500
S 0.845 0.153 0.613
S 0.846 0.547 0.353
S 0.846 0.737 0.184
S 0.854 0.946 0.413
S 0.872 0.204 0.013
S 0.903 0.789 0.808
S 0.912 0.303 0.316
S 0.936 0.946 0.677
S 0.954 0.441 0.832
S 0.981 0.095 0.192
S 0.987 0.596 0.684

space group: I4_1cd
M_tot: 0.000 μB per formula unit

=====

# 6
Density functional theory data (GGA-PBE) for a relaxed TbNi2Ge2 crystal.

Lattice parameters (Å, degrees): 5.686 5.686 5.686 138.00 138.00 60.90
Fractional positions:
Tb 0.000 0.000 0.000
Ni 0.250 0.750 0.500
Ni 0.750 0.250 0.500
Ge 0.371 0.371 0.000
Ge 0.629 0.629 0.000

space group: I4/mmm

=====

# 7
Density functional theory data (GGA-PBE) for a relaxed Ta9Fe2S6 crystal.

Lattice parameters (Å, degrees): 10.436 10.436 6.592 90.00 90.00 120.00
Fractional positions:
Ta 0.000 0.460 0.246
Ta 0.000 0.460 0.754
Ta 0.191 0.735 0.500
Ta 0.217 0.744 0.000
Ta 0.256 0.473 0.000
Ta 0.265 0.455 0.500
Ta 0.455 0.265 0.500
Ta 0.460 0.000 0.246
Ta 0.460 0.000 0.754
Ta 0.473 0.256 0.000
Ta 0.527 0.783 0.000
Ta 0.540 0.540 0.246
Ta 0.540 0.540 0.754
Ta 0.545 0.809 0.500
Ta 0.735 0.191 0.500
Ta 0.744 0.217 0.000
Ta 0.783 0.527 0.000
Ta 0.809 0.545 0.500
Fe 0.333 0.667 0.283
Fe 0.333 0.667 0.717
Fe 0.667 0.333 0.283
Fe 0.667 0.333 0.717
S 0.000 0.277 0.000
S 0.000 0.279 0.500
S 0.000 0.701 0.234
S 0.000 0.701 0.766
S 0.277 0.000 0.000
S 0.279 0.000 0.500
S 0.299 0.299 0.234
S 0.299 0.299 0.766
S 0.701 0.000 0.234
S 0.701 0.000 0.766
S 0.721 0.721 0.500
S 0.723 0.723 0.000

maximum piezoelectric response: 1.2 C/m2
space group: P-62m
relative energy among the computed polymorphs: 0 meV/atom

=====

# 8
Density functional theory data (GGA-PBE) for a relaxed MgTi6H4O14 crystal.

Lattice parameters (Å, degrees): 3.920 7.468 9.329 79.60 89.72 88.74
Fractional positions:
Mg 0.000 0.000 0.000
Ti 0.483 0.081 0.542
Ti 0.483 0.247 0.841
Ti 0.494 0.989 0.251
Ti 0.968 0.512 0.889
Ti 0.978 0.416 0.570
Ti 0.983 0.270 0.276
H 0.301 0.640 0.264
H 0.607 0.885 0.799
H 0.698 0.635 0.286
H 0.718 0.718 0.029
O 0.469 0.491 0.898
O 0.478 0.342 0.617
O 0.484 0.231 0.323
O 0.486 0.997 0.749
O 0.492 0.072 0.023
O 0.498 0.890 0.454
O 0.508 0.707 0.225
O 0.897 0.755 0.955
O 0.968 0.588 0.683
O 0.975 0.386 0.097
O 0.979 0.500 0.376
O 0.984 0.243 0.836
O 0.985 0.151 0.523
O 0.994 0.003 0.223

space group: P1
relative energy among the computed polymorphs: 18 meV/atom
M_tot: 0.000 μB per formula unit

=====

Total DFT energy (no corrections) per entry: -8.043; -6.063; -5.905; -2.373; -6.039; -5.786; -9.481; -7.713 eV/atom